# 1
# Li2CoBO4 | Materials Project | PBE+U | relaxed
data_Li2CoBO4
_chemical_formula_sum 'Li8 Co4 B4 O16'
_cell_length_a 10.200
_cell_length_b 6.037
_cell_length_c 4.788
_cell_angle_alpha 90.00
_cell_angle_beta 90.00
_cell_angle_gamma 90.00
_symmetry_space_group_name_H-M 'P n a 21'
_symmetry_Int_Tables_number 33
_symmetry_space_group_name_Hall 'P 2c -2n'
loop_
_atom_site_label
_atom_site_fract_x
_atom_site_fract_y
_atom_site_fract_z
Li1 0.074 0.240 0.000
Li2 0.158 0.995 0.503
Co1 0.163 0.485 0.505
B1 0.092 0.739 0.008
O1 0.048 0.253 0.416
O2 0.097 0.731 0.318
O3 0.158 0.537 0.894
O4 0.159 0.947 0.914
# * crystal system: orthorhombic
# * energy: -6.307 eV per atom

# 2
# Li3CoB5O10 | Materials Project | PBE+U | relaxed
data_Li3CoB5O10
_chemical_formula_sum 'Li6 Co2 B10 O20'
_cell_length_a 6.947
_cell_length_b 7.097
_cell_length_c 9.377
_cell_angle_alpha 80.17
_cell_angle_beta 68.95
_cell_angle_gamma 61.83
_symmetry_space_group_name_H-M 'P -1'
_symmetry_Int_Tables_number 2
_symmetry_space_group_name_Hall '-P 1'
loop_
_atom_site_label
_atom_site_fract_x
_atom_site_fract_y
_atom_site_fract_z
Li1 0.020 0.193 0.464
Li2 0.184 0.008 0.837
Li3 0.241 0.493 0.249
Co1 0.214 0.523 0.884
B1 0.216 0.168 0.132
B2 0.256 0.284 0.603
B3 0.304 0.804 0.074
B4 0.363 0.750 0.568
B5 0.410 0.859 0.290
O1 0.047 0.306 0.622
O2 0.130 0.380 0.099
O3 0.219 0.740 0.706
O4 0.221 0.026 0.042
O5 0.270 0.694 0.995
O6 0.272 0.842 0.448
O7 0.306 0.089 0.250
O8 0.344 0.216 0.727
O9 0.400 0.318 0.460
O10 0.409 0.720 0.188
# * crystal system: triclinic
# * energy: -7.161 eV per atom

# 3
# Li2CoBO4 | Materials Project | PBE+U | relaxed
data_Li2CoBO4
_chemical_formula_sum 'Li8 Co4 B4 O16'
_cell_length_a 10.345
_cell_length_b 5.794
_cell_length_c 5.003
_cell_angle_alpha 90.00
_cell_angle_beta 90.00
_cell_angle_gamma 90.00
_symmetry_space_group_name_H-M 'P n m a'
_symmetry_Int_Tables_number 62
_symmetry_space_group_name_Hall '-P 2ac 2n'
loop_
_atom_site_label
_atom_site_fract_x
_atom_site_fract_y
_atom_site_fract_z
Li1 0.167 0.003 0.176
Co1 0.082 0.250 0.681
B1 0.085 0.750 0.665
O1 0.058 0.250 0.298
O2 0.100 0.750 0.369
O3 0.146 0.538 0.782
# * crystal system: orthorhombic
# * energy: -6.271 eV per atom

# 4
# Li3CoBO4 | Materials Project | PBE+U | relaxed
data_Li3CoBO4
_chemical_formula_sum 'Li48 Co16 B16 O64'
_cell_length_a 10.084
_cell_length_b 10.084
_cell_length_c 12.753
_cell_angle_alpha 90.00
_cell_angle_beta 90.00
_cell_angle_gamma 90.00
_symmetry_space_group_name_H-M 'I 41/a'
_symmetry_Int_Tables_number 88
loop_
_symmetry_equiv_pos_as_xyz
'x,y,z'
'-x,-y,-z'
'-y+3/4,x+1/4,z+1/4'
'y+3/4,-x+1/4,-z+1/4'
'-x+1/2,-y,z+1/2'
'x+1/2,y,-z+1/2'
'y+3/4,-x+3/4,z+3/4'
'-y+3/4,x+3/4,-z+3/4'
'x+1/2,y+1/2,z+1/2'
'-x+1/2,-y+1/2,-z+1/2'
'-y+1/4,x+3/4,z+3/4'
'y+1/4,-x+3/4,-z+3/4'
'-x,-y+1/2,z'
'x,y+1/2,-z'
'y+1/4,-x+1/4,z+1/4'
'-y+1/4,x+1/4,-z+1/4'
loop_
_atom_site_label
_atom_site_fract_x
_atom_site_fract_y
_atom_site_fract_z
Li1 0.008 0.100 0.054
Li2 0.021 0.124 0.334
Li3 0.023 0.409 0.563
Co1 0.226 0.020 0.934
B1 0.029 0.446 0.799
O1 0.045 0.093 0.899
O2 0.055 0.065 0.704
O3 0.079 0.086 0.190
O4 0.116 0.095 0.460
# * crystal system: tetragonal
# * energy: -6.021 eV per atom

# 5
# Li4CoB2O6 | Materials Project | PBE+U | relaxed
data_Li4CoB2O6
_chemical_formula_sum 'Li8 Co2 B4 O12'
_cell_length_a 7.878
_cell_length_b 9.276
_cell_length_c 3.299
_cell_angle_alpha 90.00
_cell_angle_beta 90.00
_cell_angle_gamma 90.00
_symmetry_space_group_name_H-M 'P n n m'
_symmetry_Int_Tables_number 58
_symmetry_space_group_name_Hall '-P 2 2n'
loop_
_atom_site_label
_atom_site_fract_x
_atom_site_fract_y
_atom_site_fract_z
Li1 0.008 0.200 0.000
Li2 0.179 0.053 0.500
Co1 0.000 0.500 0.500
B1 0.231 0.799 0.500
O1 0.077 0.865 0.500
O2 0.119 0.385 0.000
O3 0.245 0.649 0.500
# * crystal system: orthorhombic
# * energy: -6.382 eV per atom

# 6
# Li2CoBO4 | Materials Project | PBE+U | relaxed
data_Li2CoBO4
_chemical_formula_sum 'Li8 Co4 B4 O16'
_cell_length_a 6.996
_cell_length_b 7.218
_cell_length_c 6.035
_cell_angle_alpha 90.00
_cell_angle_beta 90.00
_cell_angle_gamma 90.00
_symmetry_space_group_name_H-M 'C 2 2 21'
_symmetry_Int_Tables_number 20
_symmetry_space_group_name_Hall 'C 2c 2'
loop_
_atom_site_label
_atom_site_fract_x
_atom_site_fract_y
_atom_site_fract_z
Li1 0.000 0.193 0.250
Li2 0.173 0.500 0.500
Co1 0.000 0.182 0.750
B1 0.185 0.500 0.000
O1 0.056 0.334 0.989
O2 0.197 0.009 0.706
# * crystal system: orthorhombic
# * energy: -6.304 eV per atom

# 7
# Li2CoBO4 | Materials Project | PBE+U | relaxed
data_Li2CoBO4
_chemical_formula_sum 'Li8 Co4 B4 O16'
_cell_length_a 10.621
_cell_length_b 5.796
_cell_length_c 4.775
_cell_angle_alpha 90.00
_cell_angle_beta 90.00
_cell_angle_gamma 90.00
_symmetry_space_group_name_H-M 'P n m a'
_symmetry_Int_Tables_number 62
_symmetry_space_group_name_Hall '-P 2ac 2n'
loop_
_atom_site_label
_atom_site_fract_x
_atom_site_fract_y
_atom_site_fract_z
Li1 0.083 0.001 0.201
Co1 0.176 0.250 0.692
B1 0.169 0.750 0.687
O1 0.100 0.537 0.783
O2 0.170 0.750 0.378
O3 0.199 0.250 0.299
# * crystal system: orthorhombic
# * energy: -6.295 eV per atom

# 8
# Li3CoB2O6 | Materials Project | PBE+U | relaxed
data_Li3CoB2O6
_chemical_formula_sum 'Li6 Co2 B4 O12'
_cell_length_a 4.967
_cell_length_b 6.697
_cell_length_c 8.389
_cell_angle_alpha 70.21
_cell_angle_beta 89.46
_cell_angle_gamma 89.19
_symmetry_space_group_name_H-M 'P -1'
_symmetry_Int_Tables_number 2
_symmetry_space_group_name_Hall '-P 1'
loop_
_atom_site_label
_atom_site_fract_x
_atom_site_fract_y
_atom_site_fract_z
Li1 0.120 0.258 0.157
Li2 0.151 0.438 0.725
Li3 0.339 0.406 0.427
Co1 0.379 0.042 0.777
B1 0.150 0.816 0.412
B2 0.338 0.681 0.079
O1 0.130 0.195 0.610
O2 0.205 0.518 0.193
O3 0.232 0.787 0.917
O4 0.280 0.998 0.307
O5 0.282 0.650 0.524
O6 0.409 0.249 0.886
# * crystal system: triclinic
# * energy: -6.519 eV per atom

# 9
# Li5Co4B4O12 | Materials Project | PBE+U | relaxed
data_Li5Co4B4O12
_chemical_formula_sum 'Li5 Co4 B4 O12'
_cell_length_a 5.050
_cell_length_b 5.091
_cell_length_c 11.680
_cell_angle_alpha 87.95
_cell_angle_beta 87.42
_cell_angle_gamma 60.54
_symmetry_space_group_name_H-M 'P 1'
_symmetry_Int_Tables_number 1
_symmetry_space_group_name_Hall 'P 1'
loop_
_atom_site_label
_atom_site_fract_x
_atom_site_fract_y
_atom_site_fract_z
Li1 0.000 0.000 0.000
Li2 0.000 0.310 0.377
Li3 0.986 0.015 0.189
Li4 0.988 0.981 0.629
Li5 0.994 0.321 0.801
Co1 0.343 0.326 0.567
Co2 0.349 0.627 0.811
Co3 0.663 0.658 0.123
Co4 0.665 0.928 0.379
B1 0.335 0.325 0.090
B2 0.352 0.636 0.349
B3 0.664 0.967 0.838
B4 0.673 0.647 0.604
O1 0.075 0.293 0.094
O2 0.093 0.911 0.346
O3 0.307 0.613 0.081
O4 0.346 0.384 0.397
O5 0.394 0.228 0.822
O6 0.395 0.655 0.632
O7 0.624 0.069 0.098
O8 0.630 0.600 0.301
O9 0.678 0.693 0.855
O10 0.683 0.907 0.576
O11 0.938 0.372 0.610
O12 0.938 0.980 0.834
# * crystal system: triclinic
# * energy: -6.534 eV per atom

# 10
# Li2CoBO4 | Materials Project | PBE+U | relaxed
data_Li2CoBO4
_chemical_formula_sum 'Li8 Co4 B4 O16'
_cell_length_a 7.007
_cell_length_b 7.146
_cell_length_c 6.163
_cell_angle_alpha 90.00
_cell_angle_beta 90.88
_cell_angle_gamma 90.00
_symmetry_space_group_name_H-M 'C 1 2/m 1'
_symmetry_Int_Tables_number 12
_symmetry_space_group_name_Hall '-C 2y'
loop_
_atom_site_label
_atom_site_fract_x
_atom_site_fract_y
_atom_site_fract_z
Li1 0.000 0.179 0.000
Li2 0.177 0.500 0.780
Co1 0.000 0.199 0.500
B1 0.187 0.500 0.247
O1 0.057 0.331 0.259
O2 0.192 0.000 0.537
O3 0.203 0.000 0.940
# * crystal system: monoclinic
# * energy: -6.255 eV per atom

# 11
# Li3CoB2O6 | Materials Project | PBE+U | relaxed
data_Li3CoB2O6
_chemical_formula_sum 'Li6 Co2 B4 O12'
_cell_length_a 5.005
_cell_length_b 6.316
_cell_length_c 8.010
_cell_angle_alpha 74.58
_cell_angle_beta 89.35
_cell_angle_gamma 88.94
_symmetry_space_group_name_H-M 'P -1'
_symmetry_Int_Tables_number 2
_symmetry_space_group_name_Hall '-P 1'
loop_
_atom_site_label
_atom_site_fract_x
_atom_site_fract_y
_atom_site_fract_z
Li1 0.168 0.260 0.391
Li2 0.174 0.974 0.741
Li3 0.326 0.103 0.074
Co1 0.346 0.450 0.730
B1 0.168 0.677 0.090
B2 0.343 0.830 0.426
O1 0.113 0.322 0.904
O2 0.208 0.992 0.313
O3 0.227 0.722 0.587
O4 0.297 0.512 0.217
O5 0.298 0.834 0.971
O6 0.390 0.229 0.603
# * crystal system: triclinic
# * energy: -6.535 eV per atom